A geometry-optimized LiFePO4 structure. Source: the Materials Project, functional GGA+U.

Lattice parameters (Å, degrees): 5.771 11.170 9.480 90.00 90.00 90.00
Space group Fdd2 (No. 43)
Symmetry-distinct sites (fractional):
Li (0.000, 0.000, 0.000) (multiplicity 8)
Fe (0.000, 0.000, 0.378) (multiplicity 8)
P (0.000, 0.000, 0.696) (multiplicity 8)
O (0.085, 0.176, 0.041) (multiplicity 16)
O (0.107, 0.330, 0.841) (multiplicity 16)

- DFT formation energy (meV per atom) = -2415.7
- V (A^3/atom) = 10.9
- M_tot (μB per formula unit) = 4.000
- energy above the lowest structure with this stoichiometry (meV/atom) = 65